# 1
An optimized crystal structure of Mg6H12C14NO24. Source: the Materials Project database, functional PBE-GGA.

Computed properties:
calculated volume = 3626 Å³ per cell
formation energy from the elements = -1458 meV/atom
magnetic moment = 1.000 μB per formula unit

Lattice parameters (Å, degrees): 10.263 18.967 18.630 90.00 90.00 90.00
Space group Pbcn (No. 60)
Symmetry-distinct sites (fractional):
Mg  0.000  0.000  0.000 x4
Mg  0.000  0.184  0.250 x4
Mg  0.075  0.178  0.059 x8
Mg  0.119  0.281  0.533 x8
H  0.042  0.155  0.647 x8
H  0.119  0.448  0.507 x8
H  0.157  0.026  0.366 x8
H  0.203  0.318  0.376 x8
H  0.209  0.318  0.740 x8
H  0.237  0.364  0.995 x8
C  0.021  0.137  0.592 x8
C  0.094  0.073  0.364 x8
C  0.105  0.468  0.216 x8
C  0.128  0.277  0.367 x8
C  0.161  0.324  0.999 x8
C  0.223  0.435  0.512 x8
C  0.231  0.310  0.682 x8
N  0.000  0.472  0.250 x4
O  0.003  0.073  0.582 x8
O  0.017  0.185  0.543 x8
O  0.025  0.085  0.421 x8
O  0.049  0.338  0.975 x8
O  0.080  0.250  0.425 x8
O  0.097  0.110  0.309 x8
O  0.099  0.261  0.304 x8
O  0.138  0.298  0.641 x8
O  0.148  0.184  0.165 x8
O  0.194  0.265  0.028 x8
O  0.197  0.015  0.009 x8
O  0.248  0.130  0.021 x8



# 2
An optimized crystal structure of HoH16C2S2NO12. Source: the Materials Project database, functional PBE-GGA.

Computed properties:
calculated volume = 1298 Å³ per cell
formation energy from the elements = -1351 meV/atom
magnetic moment = 0.000 μB per formula unit

Lattice parameters (Å, degrees): 10.917 11.758 10.114 90.00 90.00 90.00
Space group Pnma (No. 62)
Symmetry-distinct sites (fractional):
Ho  0.124  0.250  0.033 x4
H  0.003  0.633  0.378 x8
H  0.037  0.588  0.122 x8
H  0.048  0.073  0.468 x8
H  0.062  0.250  0.372 x4
H  0.072  0.750  0.551 x4
H  0.101  0.041  0.869 x8
H  0.127  0.682  0.886 x8
H  0.152  0.151  0.568 x8
H  0.221  0.682  0.293 x8
C  0.057  0.144  0.536 x8
S  0.219  0.059  0.204 x8
N  0.021  0.250  0.465 x4
O  0.049  0.105  0.902 x8
O  0.087  0.750  0.927 x4
O  0.105  0.129  0.225 x8
O  0.185  0.562  0.181 x8
O  0.198  0.566  0.820 x8
O  0.223  0.611  0.583 x8
O  0.232  0.750  0.350 x4